[1]
The following is a DFT calculation (PBE-GGA) of an optimized crystal structure of Na7Mg3NbP6O24.

space-group type = No. 1

```
Na7Mg3NbP6O24
1.0
-1.150 -3.130 -8.374
-0.965 -5.521 7.031
-21.546 5.153 1.063
Na Mg Nb P O
21 9 3 18 72
direct
0.635 0.000 0.249
0.365 0.365 0.249
0.000 0.635 0.249
0.647 0.636 0.748
0.991 0.355 0.748
0.297 0.334 0.586
0.037 0.704 0.586
0.666 0.964 0.586
0.296 0.963 0.087
0.666 0.703 0.087
0.038 0.333 0.087
0.323 0.297 0.913
0.978 0.300 0.408
0.321 0.021 0.408
0.701 0.678 0.408
0.000 0.000 0.499
0.990 0.991 0.997
0.665 0.324 0.828
0.667 0.333 0.323
0.333 0.666 0.170
0.334 0.676 0.664
0.000 0.000 0.346
0.995 0.995 0.851
0.001 0.999 0.653
0.000 0.000 0.152
0.661 0.327 0.686
0.666 0.333 0.185
0.334 0.668 0.017
0.333 0.667 0.516
0.333 0.667 0.315
0.672 0.335 0.979
0.666 0.333 0.482
0.334 0.674 0.814
0.296 0.999 0.250
0.704 0.704 0.250
0.000 0.296 0.250
0.295 0.291 0.751
0.999 0.708 0.749
0.710 0.003 0.750
0.962 0.335 0.586
0.373 0.038 0.585
0.665 0.628 0.586
0.962 0.627 0.085
0.665 0.039 0.085
0.374 0.335 0.084
0.630 0.673 0.919
0.042 0.373 0.919
0.329 0.959 0.920
0.627 0.958 0.418
0.331 0.373 0.418
0.042 0.669 0.418
0.215 0.029 0.307
0.814 0.785 0.307
0.971 0.186 0.307
0.211 0.190 0.808
0.971 0.794 0.803
0.823 0.028 0.804
0.773 0.956 0.691
0.183 0.223 0.694
0.035 0.810 0.690
0.786 0.816 0.193
0.030 0.213 0.193
0.184 0.970 0.193
0.877 0.363 0.640
0.492 0.128 0.637
0.638 0.514 0.640
0.878 0.514 0.140
0.636 0.123 0.140
0.488 0.363 0.139
0.471 0.311 0.026
0.837 0.526 0.028
0.688 0.163 0.029
0.468 0.156 0.527
0.687 0.530 0.528
0.842 0.312 0.528
0.542 0.687 0.975
0.150 0.458 0.974
0.311 0.856 0.976
0.547 0.853 0.475
0.306 0.453 0.475
0.147 0.694 0.475
0.113 0.627 0.362
0.514 0.886 0.362
0.372 0.486 0.362
0.131 0.492 0.861
0.358 0.865 0.864
0.506 0.637 0.862
0.012 0.823 0.412
0.811 0.987 0.412
0.177 0.189 0.412
0.024 0.197 0.909
0.181 0.991 0.910
0.807 0.823 0.910
0.973 0.169 0.586
0.198 0.029 0.585
0.831 0.804 0.585
0.971 0.802 0.085
0.831 0.029 0.085
0.198 0.169 0.084
0.688 0.160 0.744
0.480 0.330 0.746
0.845 0.522 0.745
0.685 0.523 0.245
0.838 0.315 0.245
0.477 0.162 0.245
0.634 0.495 0.922
0.860 0.360 0.922
0.500 0.142 0.922
0.648 0.147 0.425
0.499 0.353 0.425
0.853 0.501 0.426
0.355 0.495 0.076
0.139 0.644 0.076
0.505 0.861 0.076
0.354 0.859 0.577
0.505 0.645 0.577
0.140 0.495 0.577
0.314 0.837 0.256
0.523 0.686 0.256
0.163 0.477 0.256
0.312 0.482 0.759
0.164 0.684 0.759
0.524 0.833 0.760
```

=====

[2]
The following is a DFT calculation (PBE-GGA) of an optimized crystal structure of Na6Mg4Nb2P6S3O36.

space-group type = No. 9

```
Na6Mg4Nb2P6S3O36
1.0
8.864 0.000 0.000
-4.432 7.646 -0.019
0.000 -0.055 22.396
Na Mg Nb P S O
12 8 4 12 6 72
direct
0.996 0.639 0.246
0.643 0.639 0.746
0.303 0.338 0.586
0.668 0.959 0.584
0.292 0.959 0.084
0.035 0.338 0.086
0.996 0.986 0.492
0.990 0.986 0.992
0.658 0.312 0.826
0.654 0.312 0.326
0.346 0.667 0.165
0.321 0.667 0.665
0.005 0.009 0.352
0.004 0.009 0.852
0.996 0.996 0.653
0.000 0.996 0.153
0.661 0.328 0.687
0.667 0.328 0.187
0.334 0.668 0.015
0.334 0.668 0.515
0.675 0.344 0.974
0.670 0.344 0.474
0.332 0.667 0.315
0.335 0.667 0.815
0.295 0.007 0.250
0.996 0.287 0.249
0.291 0.287 0.749
0.712 0.007 0.750
0.669 0.629 0.586
0.959 0.629 0.086
0.629 0.677 0.918
0.048 0.372 0.920
0.327 0.956 0.921
0.630 0.956 0.421
0.325 0.372 0.420
0.049 0.677 0.418
0.708 0.709 0.250
0.001 0.709 0.750
0.958 0.337 0.584
0.375 0.041 0.583
0.666 0.041 0.083
0.380 0.337 0.084
0.201 0.019 0.304
0.814 0.789 0.304
0.973 0.178 0.303
0.205 0.178 0.803
0.974 0.789 0.804
0.817 0.019 0.804
0.771 0.955 0.692
0.191 0.222 0.690
0.034 0.814 0.696
0.780 0.814 0.196
0.030 0.222 0.190
0.184 0.955 0.192
0.873 0.357 0.637
0.486 0.122 0.636
0.641 0.514 0.640
0.873 0.514 0.140
0.637 0.122 0.136
0.484 0.357 0.137
0.465 0.310 0.029
0.839 0.524 0.029
0.690 0.154 0.029
0.463 0.154 0.529
0.685 0.524 0.529
0.845 0.310 0.529
0.538 0.693 0.973
0.144 0.455 0.977
0.310 0.857 0.977
0.548 0.857 0.477
0.311 0.455 0.477
0.154 0.693 0.473
0.128 0.639 0.361
0.504 0.865 0.365
0.360 0.496 0.365
0.136 0.496 0.865
0.361 0.865 0.865
0.511 0.639 0.861
0.013 0.824 0.409
0.809 0.983 0.410
0.175 0.190 0.411
0.015 0.190 0.911
0.174 0.983 0.910
0.811 0.824 0.909
0.973 0.176 0.586
0.204 0.031 0.587
0.833 0.811 0.586
0.977 0.811 0.086
0.827 0.031 0.087
0.203 0.176 0.086
0.682 0.161 0.743
0.484 0.333 0.745
0.847 0.532 0.744
0.685 0.532 0.244
0.849 0.333 0.245
0.479 0.161 0.243
0.636 0.498 0.924
0.860 0.362 0.923
0.502 0.142 0.925
0.640 0.142 0.425
0.502 0.362 0.423
0.862 0.498 0.424
0.357 0.491 0.078
0.141 0.644 0.079
0.509 0.866 0.076
0.357 0.866 0.576
0.503 0.644 0.579
0.134 0.491 0.578
0.314 0.832 0.260
0.528 0.688 0.257
0.170 0.482 0.259
0.312 0.482 0.759
0.160 0.688 0.757
0.518 0.832 0.760
```

=====

no.,E_form (eV/atom)
1,-2.7891
2,-2.6484